(1)
Here is crystalline Nb2Se4O13 at its relaxed geometry from the Materials Project. Energies are from PBE.

Structure (POSCAR):
```
Nb2Se4O13
1.0
-6.8319 -0.4618 0.8470
0.8276 -7.2085 2.7446
1.4080 0.4447 11.5990
O Nb Se
26 4 8
direct
0.0176 0.4386 0.8699 O
0.2450 0.8654 0.7228 O
0.5790 0.6997 0.8125 O
0.7550 0.3654 0.7228 O
0.9232 0.0998 0.0513 O
0.5247 0.8227 0.5767 O
0.7162 0.7694 0.0590 O
0.4753 0.3227 0.5767 O
0.2838 0.2694 0.0590 O
0.0988 0.5000 0.6379 O
0.7160 0.4239 0.0424 O
0.5202 0.4977 0.2153 O
0.0129 0.7725 0.2308 O
0.4224 0.1635 0.4023 O
0.5776 0.6635 0.4023 O
0.2164 0.8395 0.4046 O
0.9871 0.2725 0.2308 O
0.2192 0.4997 0.3798 O
0.9824 0.9386 0.8699 O
0.7808 0.9997 0.3798 O
0.9012 0.0000 0.6379 O
0.4210 0.1997 0.8125 O
0.4798 0.9977 0.2153 O
0.0768 0.5998 0.0513 O
0.2841 0.9239 0.0424 O
0.7836 0.3395 0.4046 O
0.9956 0.3258 0.0482 Nb
0.5071 0.4413 0.3966 Nb
0.4929 0.9413 0.3966 Nb
0.0044 0.8258 0.0482 Nb
0.0632 0.6761 0.3824 Se
0.4378 0.0882 0.0614 Se
0.9368 0.1761 0.3824 Se
0.5145 0.8922 0.7073 Se
0.5622 0.5882 0.0614 Se
0.0717 0.0477 0.7227 Se
0.9283 0.5477 0.7227 Se
0.4855 0.3922 0.7073 Se
```

## Properties
Symmetry = Pc (7)
Energy = -250.059 eV per cell
V = 591 Å³ per cell
Formation energy = -1.87 eV/atom


(2)
Here is crystalline Sm3NbSe3O4 at its relaxed geometry from the Materials Project. Energies are from PBE.

Structure (POSCAR):
```
Sm3NbSe3O4
1.0
6.9498 0.0000 0.0000
0.0000 7.8104 0.0000
0.0000 0.0000 14.9901
Nb Sm Se O
4 12 12 16
direct
0.1750 0.2500 0.4322 Nb
0.3250 0.7500 0.9322 Nb
0.6750 0.2500 0.0678 Nb
0.8250 0.7500 0.5678 Nb
0.7167 0.7500 0.0823 Sm
0.2833 0.2500 0.9177 Sm
0.2865 0.0067 0.1534 Sm
0.7135 0.9933 0.8466 Sm
0.2135 0.5067 0.6534 Sm
0.2135 0.9933 0.6534 Sm
0.7833 0.2500 0.5823 Sm
0.7135 0.5067 0.8466 Sm
0.2167 0.7500 0.4177 Sm
0.7865 0.4933 0.3466 Sm
0.2865 0.4933 0.1534 Sm
0.7865 0.0067 0.3466 Sm
0.5030 0.7500 0.2716 Se
0.5507 0.7500 0.7025 Se
0.4970 0.2500 0.7284 Se
0.9493 0.2500 0.2025 Se
0.4493 0.2500 0.2975 Se
0.0000 0.5000 0.0000 Se
0.0507 0.7500 0.7975 Se
0.9970 0.2500 0.7716 Se
0.5000 0.0000 0.5000 Se
0.0000 0.0000 0.0000 Se
0.0030 0.7500 0.2284 Se
0.5000 0.5000 0.5000 Se
0.6136 0.4734 0.1139 O
0.3864 0.9734 0.8861 O
0.8678 0.2500 0.4318 O
0.6322 0.7500 0.9318 O
0.3864 0.5266 0.8861 O
0.8577 0.7500 0.4379 O
0.8864 0.5266 0.6139 O
0.1322 0.7500 0.5682 O
0.8864 0.9734 0.6139 O
0.1136 0.0266 0.3861 O
0.6136 0.0266 0.1139 O
0.1136 0.4734 0.3861 O
0.3577 0.7500 0.0621 O
0.3678 0.2500 0.0682 O
0.1423 0.2500 0.5621 O
0.6423 0.2500 0.9379 O
```

## Properties
Symmetry = Pnma (62)
Energy = -330.041 eV per cell
V = 814 Å³ per cell
Formation energy = -2.79 eV/atom


(3)
Here is crystalline NbSi4O13 at its relaxed geometry from the Materials Project. Energies are from PBE.

Structure (POSCAR):
```
NbSi4O13
1.0
9.1025 0.0000 0.0000
0.0000 7.5983 0.0000
0.0000 3.0868 9.5111
O Si Nb
26 8 2
direct
0.2500 0.6178 0.5702 O
0.1000 0.7758 0.0453 O
0.4019 0.0892 0.8122 O
0.1025 0.4442 0.8049 O
0.3975 0.4442 0.8049 O
0.6050 0.3176 0.6708 O
0.0000 0.0000 0.5000 O
0.8975 0.5558 0.1951 O
0.5000 0.0000 0.5000 O
0.0981 0.0892 0.8122 O
0.7500 0.2506 0.2138 O
0.9000 0.2242 0.9547 O
0.8950 0.3176 0.6708 O
0.2500 0.0058 0.0751 O
0.1050 0.6824 0.3292 O
0.6000 0.2242 0.9547 O
0.4000 0.7758 0.0453 O
0.7500 0.6406 0.5445 O
0.3950 0.6824 0.3292 O
0.7500 0.3822 0.4298 O
0.7500 0.9942 0.9249 O
0.2500 0.3594 0.4555 O
0.5981 0.9108 0.1878 O
0.6025 0.5558 0.1951 O
0.9019 0.9108 0.1878 O
0.2500 0.7494 0.7862 O
0.7500 0.4395 0.2585 Si
0.4973 0.7319 0.1895 Si
0.5027 0.2681 0.8105 Si
0.2500 0.5605 0.7415 Si
0.2500 0.5876 0.4159 Si
0.0027 0.7319 0.1895 Si
0.9973 0.2681 0.8105 Si
0.7500 0.4124 0.5841 Si
0.7500 0.0852 0.1025 Nb
0.2500 0.9148 0.8975 Nb
```

## Properties
Symmetry = P2_1/m (11)
Energy = -262.486 eV per cell
V = 658 Å³ per cell
Formation energy = -2.45 eV/atom


(4)
Here is crystalline SmNbO4 at its relaxed geometry from the Materials Project. Energies are from PBE.

Structure (POSCAR):
```
SmNbO4
1.0
5.6776 3.6489 0.0000
-5.6776 3.6489 0.0000
0.0000 3.4866 3.8800
O Nb Sm
8 2 2
direct
0.2140 0.2805 0.8071 O
0.7860 0.7195 0.1929 O
0.3647 0.9476 0.8412 O
0.0524 0.6353 0.6587 O
0.7195 0.7860 0.6929 O
0.6353 0.0524 0.1588 O
0.2805 0.2140 0.3071 O
0.9476 0.3647 0.3412 O
0.1087 0.8913 0.7500 Nb
0.8913 0.1087 0.2500 Nb
0.6280 0.3720 0.7500 Sm
0.3720 0.6280 0.2500 Sm
```

## Properties
Symmetry = C2/c (15)
Energy = -106.183 eV per cell
V = 161 Å³ per cell
Formation energy = -3.54 eV/atom


(5)
Here is crystalline SrSmTiNbO6 at its relaxed geometry from the Materials Project. Energies are from PBE.

Structure (POSCAR):
```
SrSmTiNbO6
1.0
5.5164 0.9475 -0.8645
2.0709 0.0604 -5.2710
1.7064 4.8784 -2.3163
Sm O Sr Nb Ti
1 6 1 1 1
direct
0.2500 0.2500 0.2500 Sm
0.2537 0.7463 0.2537 O
0.2537 0.2537 0.7463 O
0.7463 0.2537 0.2537 O
0.7463 0.7463 0.2537 O
0.2537 0.7463 0.7463 O
0.7463 0.2537 0.7463 O
0.7500 0.7500 0.7500 Sr
0.0000 0.0000 0.0000 Nb
0.5000 0.5000 0.5000 Ti
```

## Properties
Symmetry = F-43m (216)
Energy = -82.665 eV per cell
V = 128 Å³ per cell
Formation energy = -3.27 eV/atom


(6)
Here is crystalline Nb2SnO6 at its relaxed geometry from the Materials Project. Energies are from PBE.

Structure (POSCAR):
```
Nb2SnO6
1.0
2.4806 8.7063 0.0000
-2.4806 8.7063 0.0000
0.0000 0.2069 5.7035
O Nb Sn
12 4 2
direct
0.3912 0.3230 0.9190 O
0.2760 0.1630 0.6472 O
0.8370 0.7240 0.8528 O
0.1546 0.9912 0.4073 O
0.1630 0.2760 0.1472 O
0.0088 0.8454 0.0927 O
0.8454 0.0088 0.5927 O
0.6088 0.6770 0.0810 O
0.7240 0.8370 0.3528 O
0.9912 0.1546 0.9073 O
0.3230 0.3912 0.4190 O
0.6770 0.6088 0.5810 O
0.5880 0.0714 0.6739 Nb
0.0714 0.5880 0.1739 Nb
0.9286 0.4120 0.8261 Nb
0.4120 0.9286 0.3261 Nb
0.7748 0.2252 0.2500 Sn
0.2252 0.7748 0.7500 Sn
```

## Properties
Symmetry = C2/c (15)
Energy = -148.987 eV per cell
V = 246 Å³ per cell
Formation energy = -2.75 eV/atom


(7)
Here is crystalline Nb2Sn2O7 at its relaxed geometry from the Materials Project. Energies are from PBE.

Structure (POSCAR):
```
Nb2Sn2O7
1.0
0.0000 5.3803 5.3803
5.3803 0.0000 5.3803
5.3803 5.3803 0.0000
Sn O Nb
4 14 4
direct
0.1250 0.1250 0.6250 Sn
0.6250 0.1250 0.1250 Sn
0.1250 0.6250 0.1250 Sn
0.1250 0.1250 0.1250 Sn
0.5610 0.9390 0.9390 O
0.5610 0.5610 0.9390 O
0.3110 0.3110 0.6890 O
0.6890 0.3110 0.6890 O
0.9390 0.9390 0.5610 O
0.0000 0.0000 0.0000 O
0.3110 0.6890 0.6890 O
0.6890 0.6890 0.3110 O
0.2500 0.2500 0.2500 O
0.9390 0.5610 0.9390 O
0.6890 0.3110 0.3110 O
0.5610 0.9390 0.5610 O
0.3110 0.6890 0.3110 O
0.9390 0.5610 0.5610 O
0.6250 0.6250 0.6250 Nb
0.1250 0.6250 0.6250 Nb
0.6250 0.1250 0.6250 Nb
0.6250 0.6250 0.1250 Nb
```

## Properties
Symmetry = Fd-3m (227)
Energy = -170.143 eV per cell
V = 311 Å³ per cell
Formation energy = -2.46 eV/atom


(8)
Here is crystalline SrTiNbSnO6 at its relaxed geometry from the Materials Project. Energies are from PBE.

Structure (POSCAR):
```
SrTiNbSnO6
1.0
5.4851 0.4923 1.4232
2.7442 4.8996 -0.9044
1.5135 3.2669 4.4035
Nb O Sr Ti Sn
1 6 1 1 1
direct
0.0000 0.0000 0.0000 Nb
0.7475 0.2525 0.2525 O
0.7475 0.2525 0.7475 O
0.2525 0.7475 0.7475 O
0.7475 0.7475 0.2525 O
0.2525 0.2525 0.7475 O
0.2525 0.7475 0.2525 O
0.7500 0.7500 0.7500 Sr
0.5000 0.5000 0.5000 Ti
0.2500 0.2500 0.2500 Sn
```

## Properties
Symmetry = F-43m (216)
Energy = -78.315 eV per cell
V = 130 Å³ per cell
Formation energy = -2.91 eV/atom


(9)
Here is crystalline Sr5Nb5O16 at its relaxed geometry from the Materials Project. Energies are from PBE.

Structure (POSCAR):
```
Sr5Nb5O16
1.0
4.0484 0.0000 0.0000
0.0000 5.7500 0.0000
0.0000 0.0000 33.2009
O Nb Sr
32 10 10
direct
0.0000 0.0744 0.6661 O
0.5000 0.8633 0.9598 O
0.5000 0.3545 0.7993 O
0.0000 0.5730 0.9197 O
0.0000 0.3633 0.0402 O
0.0000 0.2644 0.4665 O
0.5000 0.2991 0.8826 O
0.5000 0.5744 0.3339 O
0.0000 0.8801 0.0298 O
0.5000 0.7644 0.5335 O
0.0000 0.7855 0.4582 O
0.5000 0.5666 0.1656 O
0.0000 0.3282 0.3810 O
0.0000 0.5737 0.7516 O
0.5000 0.3801 0.9702 O
0.5000 0.2945 0.7134 O
0.0000 0.0666 0.8344 O
0.0000 0.8648 0.3704 O
0.0000 0.2789 0.1290 O
0.5000 0.0730 0.0803 O
0.5000 0.8625 0.7871 O
0.0000 0.8545 0.2007 O
0.0000 0.7991 0.1174 O
0.5000 0.3648 0.6296 O
0.0000 0.2968 0.2966 O
0.0000 0.7945 0.2866 O
0.0000 0.3625 0.2129 O
0.5000 0.0737 0.2484 O
0.5000 0.7789 0.8710 O
0.5000 0.7968 0.7034 O
0.5000 0.2855 0.5418 O
0.5000 0.8282 0.6190 O
0.0000 0.5749 0.1593 Nb
0.5000 0.5451 0.5765 Nb
0.0000 0.5644 0.3380 Nb
0.5000 0.0644 0.6620 Nb
0.5000 0.5995 0.9270 Nb
0.5000 0.0749 0.8407 Nb
0.5000 0.5742 0.7519 Nb
0.0000 0.0451 0.4235 Nb
0.0000 0.0995 0.0730 Nb
0.0000 0.0742 0.2481 Nb
0.0000 0.5694 0.6647 Sr
0.5000 0.0694 0.3353 Sr
0.5000 0.5748 0.2486 Sr
0.0000 0.1293 0.9676 Sr
0.0000 0.0237 0.5297 Sr
0.0000 0.5649 0.8419 Sr
0.0000 0.0748 0.7514 Sr
0.5000 0.5237 0.4703 Sr
0.5000 0.0649 0.1581 Sr
0.5000 0.6293 0.0324 Sr
```

## Properties
Symmetry = Pmn2_1 (31)
Energy = -419.837 eV per cell
V = 773 Å³ per cell
Formation energy = -3.18 eV/atom


(10)
Here is crystalline Sr4Nb2O9 at its relaxed geometry from the Materials Project. Energies are from PBE.

Structure (POSCAR):
```
Sr4Nb2O9
1.0
-3.0030 4.1531 9.4273
3.0030 -4.1531 9.4273
3.0030 4.1531 -9.4273
Nb Sr O
4 8 18
direct
0.0000 0.0000 0.0000 Nb
0.6646 0.6646 0.0000 Nb
0.5000 0.0000 0.5000 Nb
0.3354 0.3354 0.0000 Nb
0.1282 0.8604 0.2678 Sr
0.5926 0.8604 0.7322 Sr
0.8288 0.3288 0.5000 Sr
0.4074 0.1396 0.2678 Sr
0.2449 0.5000 0.7449 Sr
0.7551 0.5000 0.2551 Sr
0.8718 0.1396 0.7322 Sr
0.1712 0.6712 0.5000 Sr
0.7268 0.4788 0.7521 O
0.4113 0.6351 0.7762 O
0.4245 0.1536 0.7292 O
0.8589 0.6351 0.2238 O
0.5755 0.8464 0.2708 O
0.4245 0.6953 0.2708 O
0.0765 0.8525 0.7760 O
0.5755 0.3047 0.7292 O
0.5887 0.3649 0.2238 O
0.2732 0.5212 0.2479 O
0.7480 0.0000 0.7480 O
0.9235 0.1475 0.2240 O
0.2732 0.0253 0.7521 O
0.9235 0.6995 0.7760 O
0.0765 0.3005 0.2240 O
0.7268 0.9747 0.2479 O
0.2520 0.0000 0.2520 O
0.1411 0.3649 0.7762 O
```

## Properties
Symmetry = Immm (71)
Offset from the most stable computed form = 1.204 eV/f.u.
Energy = -226.834 eV per cell
V = 470 Å³ per cell
Formation energy = -3.21 eV/atom


(11)
Here is crystalline Sr3Nb5O15 at its relaxed geometry from the Materials Project. Energies are from PBE.

Structure (POSCAR):
```
Sr3Nb5O15
1.0
-3.8653 1.0284 -0.0843
-2.8979 -11.2999 -4.9809
-1.5186 -4.7513 11.6625
O Sr Nb
30 6 10
direct
0.0004 0.0000 0.5000 O
0.4989 0.0110 0.3411 O
0.4989 0.6589 0.0110 O
0.5000 0.7269 0.7731 O
0.4986 0.9358 0.8646 O
0.4989 0.3411 0.9890 O
0.5000 0.2269 0.7269 O
0.9994 0.7063 0.4209 O
0.4986 0.0642 0.1354 O
0.9994 0.4209 0.2937 O
0.4986 0.1354 0.9358 O
0.4989 0.4890 0.8411 O
0.4986 0.3646 0.4358 O
0.0004 0.5000 0.0000 O
0.5000 0.2731 0.2269 O
0.4989 0.9890 0.6589 O
0.4986 0.4358 0.6354 O
0.4986 0.6354 0.5642 O
0.4989 0.8411 0.5110 O
0.9994 0.5791 0.7063 O
0.5000 0.7731 0.2731 O
0.4989 0.1589 0.4890 O
0.4986 0.5642 0.3646 O
0.9994 0.2063 0.0791 O
0.9994 0.9209 0.2063 O
0.9994 0.2937 0.5791 O
0.9994 0.7937 0.9209 O
0.4989 0.5110 0.1589 O
0.9994 0.0791 0.7937 O
0.4986 0.8646 0.0642 O
0.0108 0.6621 0.1621 Sr
0.9972 0.0000 0.0000 Sr
0.9972 0.5000 0.5000 Sr
0.0108 0.8379 0.6621 Sr
0.0108 0.3379 0.8379 Sr
0.0108 0.1621 0.3379 Sr
0.5000 0.4211 0.2893 Nb
0.5028 0.0000 0.5000 Nb
0.5028 0.5000 0.0000 Nb
0.5000 0.5789 0.7107 Nb
0.5000 0.7107 0.4211 Nb
0.5000 0.2893 0.5789 Nb
0.5000 0.2107 0.0789 Nb
0.5000 0.0789 0.7893 Nb
0.5000 0.7893 0.9211 Nb
0.5000 0.9211 0.2107 Nb
```

## Properties
Symmetry = P4bm (100)
Energy = -385.924 eV per cell
V = 644 Å³ per cell
Formation energy = -3.19 eV/atom


(12)
Here is crystalline Sr3Nb4O13 at its relaxed geometry from the Materials Project. Energies are from PBE.

Structure (POSCAR):
```
Sr3Nb4O13
1.0
-1.9946 1.9946 18.3594
1.9946 -1.9946 18.3594
1.9946 1.9946 -18.3594
O Nb Sr
13 4 3
direct
0.1098 0.1098 0.0000 O
0.0529 0.5529 0.5000 O
0.6717 0.1717 0.5000 O
0.1717 0.6717 0.5000 O
0.3283 0.8283 0.5000 O
0.9471 0.4471 0.5000 O
0.8902 0.8902 0.0000 O
0.0000 0.0000 0.0000 O
0.5529 0.0529 0.5000 O
0.7648 0.7648 0.0000 O
0.8283 0.3283 0.5000 O
0.2352 0.2352 0.0000 O
0.4471 0.9471 0.5000 O
0.0585 0.0585 0.0000 Nb
0.9415 0.9415 0.0000 Nb
0.1882 0.1882 0.0000 Nb
0.8118 0.8118 0.0000 Nb
0.3698 0.3698 0.0000 Sr
0.5000 0.5000 0.0000 Sr
0.6302 0.6302 0.0000 Sr
```

## Properties
Symmetry = I4/mmm (139)
Energy = -164.346 eV per cell
V = 292 Å³ per cell
Formation energy = -3.17 eV/atom


no.,MP2020-corrected energy (eV per cell)
1,-267.9
2,-341.0
3,-280.3
4,-111.7
5,-86.8
6,-157.2
7,-179.8
8,-82.4
9,-441.8
10,-239.2
11,-406.5
12,-173.3